Entry 1:
{
  "formula": "YN",
  "functional": "PBE",
  "state": "relaxed",
  "lattice_angstrom": [[3.009, 0.000, 0.000], [0.000, 3.009, 0.000], [0.000, 0.000, 3.009]],
  "species": ["Y", "N"],
  "frac_coords": [[0.000, 0.000, 0.000], [0.500, 0.500, 0.500]],
  "sg": "Pm-3m, No. 221",
  "delta_e_f_ev_per_atom": -0.9313,
  "density_g_cm3": 6.276
}

=====

Entry 2:
{
  "formula": "Nd3U2O10",
  "functional": "PBE",
  "state": "relaxed",
  "lattice_angstrom": [[6.001, -2.747, 0.000], [6.001, 2.747, 0.000], [-5.758, 0.000, 6.277]],
  "species": ["Nd", "Nd", "Nd", "U", "U", "O", "O", "O", "O", "O", "O", "O", "O", "O", "O"],
  "frac_coords": [[0.000, 0.000, 0.000], [0.400, 0.400, 0.597], [0.600, 0.600, 0.403], [0.192, 0.192, 0.791], [0.808, 0.808, 0.209], [0.055, 0.530, 0.714], [0.138, 0.647, 0.111], [0.226, 0.774, 0.500], [0.353, 0.862, 0.889], [0.470, 0.945, 0.286], [0.530, 0.055, 0.714], [0.647, 0.138, 0.111], [0.774, 0.226, 0.500], [0.862, 0.353, 0.889], [0.945, 0.470, 0.286]],
  "sg": "C2/m, No. 12",
  "delta_e_f_ev_per_atom": -3.8466,
  "density_g_cm3": 8.575
}

=====

Entry 3:
{
  "formula": "TbBi3",
  "functional": "PBE",
  "state": "relaxed",
  "lattice_angstrom": [[6.839, 0.000, 0.000], [-3.420, 5.923, 0.000], [0.000, 0.000, 6.066]],
  "species": ["Tb", "Tb", "Bi", "Bi", "Bi", "Bi", "Bi", "Bi"],
  "frac_coords": [[0.333, 0.667, 0.250], [0.667, 0.333, 0.750], [0.172, 0.344, 0.750], [0.172, 0.828, 0.750], [0.344, 0.172, 0.250], [0.656, 0.828, 0.750], [0.828, 0.172, 0.250], [0.828, 0.656, 0.250]],
  "sg": "P6_3/mmc, No. 194",
  "delta_e_f_ev_per_atom": -0.3490,
  "density_g_cm3": 10.621
}

=====

Entry 4:
{
  "formula": "RbCdN3",
  "functional": "PBE",
  "state": "relaxed",
  "lattice_angstrom": [[4.588, 0.000, 0.000], [0.000, 4.588, 0.000], [0.000, 0.000, 4.588]],
  "species": ["Rb", "Cd", "N", "N", "N"],
  "frac_coords": [[0.000, 0.000, 0.000], [0.500, 0.500, 0.500], [0.000, 0.500, 0.500], [0.500, 0.000, 0.500], [0.500, 0.500, 0.000]],
  "sg": "Pm-3m, No. 221",
  "delta_e_f_ev_per_atom": 1.6578,
  "density_g_cm3": 4.126
}

=====

Entry 5:
{
  "formula": "Na3GaP2H2O9",
  "functional": "PBE",
  "state": "relaxed",
  "lattice_angstrom": [[7.799, -3.620, 0.000], [7.799, 3.620, 0.000], [-0.819, 0.000, 7.098]],
  "species": ["Na", "Na", "Na", "Na", "Na", "Na", "Ga", "Ga", "P", "P", "P", "P", "H", "H", "H", "H", "O", "O", "O", "O", "O", "O", "O", "O", "O", "O", "O", "O", "O", "O", "O", "O", "O", "O"],
  "frac_coords": [[0.000, 0.500, 0.500], [0.236, 0.764, 0.000], [0.389, 0.389, 0.293], [0.500, 0.000, 0.500], [0.611, 0.611, 0.707], [0.764, 0.236, 0.000], [0.000, 0.500, 0.000], [0.500, 0.000, 0.000], [0.118, 0.118, 0.703], [0.379, 0.379, 0.773], [0.621, 0.621, 0.227], [0.882, 0.882, 0.297], [0.059, 0.059, 0.396], [0.188, 0.188, 0.177], [0.812, 0.812, 0.823], [0.941, 0.941, 0.604], [0.009, 0.653, 0.234], [0.026, 0.026, 0.760], [0.117, 0.117, 0.478], [0.175, 0.530, 0.883], [0.242, 0.242, 0.118], [0.333, 0.333, 0.572], [0.347, 0.991, 0.766], [0.470, 0.825, 0.117], [0.477, 0.477, 0.782], [0.523, 0.523, 0.218], [0.530, 0.175, 0.883], [0.653, 0.009, 0.234], [0.667, 0.667, 0.428], [0.758, 0.758, 0.882], [0.825, 0.470, 0.117], [0.883, 0.883, 0.522], [0.974, 0.974, 0.240], [0.991, 0.347, 0.766]],
  "sg": "C2/m, No. 12",
  "delta_e_f_ev_per_atom": -2.3641,
  "density_g_cm3": 2.873
}

=====

Entry 6:
{
  "formula": "SmH2ClO2",
  "functional": "PBE",
  "state": "relaxed",
  "lattice_angstrom": [[12.810, 0.000, 0.000], [0.000, 3.786, 0.000], [0.000, 0.000, 6.331]],
  "species": ["Sm", "Sm", "Sm", "Sm", "H", "H", "H", "H", "H", "H", "H", "H", "Cl", "Cl", "Cl", "Cl", "O", "O", "O", "O", "O", "O", "O", "O"],
  "frac_coords": [[0.061, 0.250, 0.248], [0.439, 0.750, 0.748], [0.561, 0.250, 0.252], [0.939, 0.750, 0.752], [0.112, 0.250, 0.693], [0.150, 0.750, 0.941], [0.350, 0.250, 0.441], [0.388, 0.750, 0.193], [0.612, 0.250, 0.807], [0.650, 0.750, 0.559], [0.850, 0.250, 0.059], [0.888, 0.750, 0.307], [0.219, 0.750, 0.411], [0.281, 0.250, 0.911], [0.719, 0.750, 0.089], [0.781, 0.250, 0.589], [0.043, 0.250, 0.632], [0.080, 0.750, 0.002], [0.420, 0.250, 0.502], [0.457, 0.750, 0.132], [0.543, 0.250, 0.868], [0.580, 0.750, 0.498], [0.920, 0.250, 0.998], [0.957, 0.750, 0.368]],
  "sg": "Pnma, No. 62",
  "delta_e_f_ev_per_atom": -2.3071,
  "density_g_cm3": 4.755
}

=====

Entry 7:
{
  "formula": "Nd3Cu",
  "functional": "PBE",
  "state": "relaxed",
  "lattice_angstrom": [[-2.349, 2.349, 5.074], [2.349, -2.349, 5.074], [2.349, 2.349, -5.074]],
  "species": ["Nd", "Nd", "Nd", "Cu"],
  "frac_coords": [[0.000, 0.000, 0.000], [0.250, 0.750, 0.500], [0.750, 0.250, 0.500], [0.500, 0.500, 0.000]],
  "sg": "I4/mmm, No. 139",
  "delta_e_f_ev_per_atom": 0.1529,
  "density_g_cm3": 7.361
}

=====

Entry 8:
{
  "formula": "ScCu3PbSe4",
  "functional": "PBE",
  "state": "relaxed",
  "lattice_angstrom": [[6.141, 0.000, 0.000], [0.000, 6.141, 0.000], [0.000, 0.000, 6.141]],
  "species": ["Sc", "Cu", "Cu", "Cu", "Pb", "Se", "Se", "Se", "Se"],
  "frac_coords": [[0.000, 0.000, 0.000], [0.000, 0.000, 0.500], [0.000, 0.500, 0.000], [0.500, 0.000, 0.000], [0.500, 0.500, 0.500], [0.233, 0.233, 0.233], [0.233, 0.767, 0.767], [0.767, 0.233, 0.767], [0.767, 0.767, 0.233]],
  "sg": "P-43m, No. 215",
  "delta_e_f_ev_per_atom": -0.7173,
  "density_g_cm3": 5.441
}

=====

Entry 9:
{
  "formula": "KCr3S5",
  "functional": "PBE",
  "state": "relaxed",
  "lattice_angstrom": [[9.668, -1.767, 0.000], [9.668, 1.767, 0.000], [-6.667, 0.000, 10.203]],
  "species": ["K", "K", "Cr", "Cr", "Cr", "Cr", "Cr", "Cr", "S", "S", "S", "S", "S", "S", "S", "S", "S", "S"],
  "frac_coords": [[0.241, 0.241, 0.324], [0.759, 0.759, 0.676], [0.000, 0.000, 0.000], [0.000, 0.000, 0.500], [0.335, 0.335, 0.112], [0.483, 0.483, 0.727], [0.517, 0.517, 0.273], [0.665, 0.665, 0.888], [0.075, 0.075, 0.891], [0.093, 0.093, 0.421], [0.244, 0.244, 0.883], [0.420, 0.420, 0.848], [0.425, 0.425, 0.349], [0.575, 0.575, 0.651], [0.580, 0.580, 0.152], [0.756, 0.756, 0.117], [0.907, 0.907, 0.579], [0.925, 0.925, 0.109]],
  "sg": "C2/m, No. 12",
  "delta_e_f_ev_per_atom": -1.1175,
  "density_g_cm3": 3.386
}

=====

Entry 10:
{
  "formula": "TaCu6O8",
  "functional": "PBE",
  "state": "relaxed",
  "lattice_angstrom": [[0.000, 4.618, 4.618], [4.618, 0.000, 4.618], [4.618, 4.618, 0.000]],
  "species": ["Ta", "Cu", "Cu", "Cu", "Cu", "Cu", "Cu", "O", "O", "O", "O", "O", "O", "O", "O"],
  "frac_coords": [[0.000, 0.000, 0.000], [0.000, 0.000, 0.500], [0.000, 0.500, 0.000], [0.000, 0.500, 0.500], [0.500, 0.000, 0.000], [0.500, 0.000, 0.500], [0.500, 0.500, 0.000], [0.134, 0.134, 0.134], [0.134, 0.134, 0.597], [0.134, 0.597, 0.134], [0.403, 0.866, 0.866], [0.597, 0.134, 0.134], [0.866, 0.403, 0.866], [0.866, 0.866, 0.403], [0.866, 0.866, 0.866]],
  "sg": "Fm-3m, No. 225",
  "delta_e_f_ev_per_atom": -1.3788,
  "density_g_cm3": 5.818
}

=====

Entry 11:
{
  "formula": "BaLiHfBiO6",
  "functional": "PBE",
  "state": "relaxed",
  "lattice_angstrom": [[0.000, 4.187, 4.187], [4.187, 0.000, 4.187], [4.187, 4.187, 0.000]],
  "species": ["Ba", "Li", "Hf", "Bi", "O", "O", "O", "O", "O", "O"],
  "frac_coords": [[0.000, 0.000, 0.000], [0.500, 0.500, 0.500], [0.750, 0.750, 0.750], [0.250, 0.250, 0.250], [0.503, 0.503, 0.997], [0.503, 0.997, 0.503], [0.503, 0.997, 0.997], [0.997, 0.503, 0.503], [0.997, 0.503, 0.997], [0.997, 0.997, 0.503]],
  "sg": "F-43m, No. 216",
  "delta_e_f_ev_per_atom": -2.5760,
  "density_g_cm3": 7.102
}

=====

Entry 12:
{
  "formula": "SrCaB11H7O22",
  "functional": "PBE",
  "state": "relaxed",
  "lattice_angstrom": [[6.684, 0.000, 0.000], [0.000, 20.878, 0.000], [-3.309, 0.000, 5.896]],
  "species": ["Sr", "Sr", "Ca", "Ca", "B", "B", "B", "B", "B", "B", "B", "B", "B", "B", "B", "B", "B", "B", "B", "B", "B", "B", "B", "B", "B", "B", "H", "H", "H", "H", "H", "H", "H", "H", "H", "H", "H", "H", "H", "H", "O", "O", "O", "O", "O", "O", "O", "O", "O", "O", "O", "O", "O", "O", "O", "O", "O", "O", "O", "O", "O", "O", "O", "O", "O", "O", "O", "O", "O", "O", "O", "O", "O", "O", "O", "O", "O", "O", "O", "O", "O", "O", "O", "O"],
  "frac_coords": [[0.194, 0.000, 0.378], [0.806, 0.500, 0.622], [0.483, 0.614, 0.922], [0.517, 0.114, 0.078], [0.015, 0.151, 0.970], [0.063, 0.633, 0.426], [0.097, 0.996, 0.793], [0.100, 0.253, 0.182], [0.191, 0.847, 0.422], [0.194, 0.151, 0.391], [0.219, 0.489, 0.124], [0.295, 0.470, 0.519], [0.379, 0.628, 0.340], [0.396, 0.369, 0.753], [0.477, 0.474, 0.941], [0.523, 0.974, 0.059], [0.604, 0.869, 0.247], [0.621, 0.128, 0.660], [0.705, 0.970, 0.481], [0.781, 0.989, 0.876], [0.806, 0.651, 0.609], [0.809, 0.347, 0.578], [0.900, 0.753, 0.818], [0.903, 0.496, 0.207], [0.937, 0.133, 0.574], [0.985, 0.651, 0.030], [0.021, 0.855, 0.072], [0.128, 0.759, 0.296], [0.156, 0.344, 0.313], [0.334, 0.277, 0.630], [0.356, 0.743, 0.722], [0.376, 0.876, 0.762], [0.495, 0.756, 0.993], [0.505, 0.256, 0.007], [0.624, 0.376, 0.238], [0.644, 0.243, 0.278], [0.666, 0.777, 0.370], [0.844, 0.844, 0.687], [0.872, 0.259, 0.704], [0.979, 0.355, 0.928], [0.004, 0.221, 0.979], [0.016, 0.629, 0.599], [0.018, 0.990, 0.948], [0.057, 0.494, 0.434], [0.086, 0.319, 0.170], [0.087, 0.879, 0.219], [0.092, 0.135, 0.801], [0.181, 0.123, 0.185], [0.201, 0.781, 0.446], [0.202, 0.222, 0.389], [0.225, 0.626, 0.113], [0.268, 0.495, 0.952], [0.285, 0.888, 0.600], [0.292, 0.399, 0.544], [0.301, 0.632, 0.498], [0.325, 0.005, 0.862], [0.371, 0.485, 0.350], [0.393, 0.125, 0.595], [0.405, 0.303, 0.771], [0.448, 0.723, 0.872], [0.458, 0.500, 0.732], [0.495, 0.404, 0.952], [0.505, 0.904, 0.048], [0.542, 0.000, 0.268], [0.552, 0.223, 0.128], [0.595, 0.803, 0.229], [0.607, 0.625, 0.405], [0.629, 0.985, 0.650], [0.675, 0.505, 0.138], [0.699, 0.132, 0.502], [0.708, 0.899, 0.456], [0.715, 0.388, 0.400], [0.732, 0.995, 0.048], [0.775, 0.126, 0.887], [0.798, 0.722, 0.611], [0.799, 0.281, 0.554], [0.819, 0.623, 0.815], [0.908, 0.635, 0.199], [0.913, 0.379, 0.781], [0.914, 0.819, 0.830], [0.943, 0.994, 0.566], [0.982, 0.490, 0.052], [0.984, 0.129, 0.401], [0.996, 0.721, 0.021]],
  "sg": "P2_1, No. 4",
  "delta_e_f_ev_per_atom": -2.5704,
  "density_g_cm3": 2.445
}

=====

> Which formula does entry 5 have?

Na3GaP2H2O9